*A*
The following is a PBE+U calculation of crystalline Li2NbCo3O8 at its relaxed geometry, from the Materials Project database.

a = 5.7794 Å, b = 5.7794 Å, c = 9.4066 Å
α = 90.00°, β = 90.00°, γ = 120.00°
Positions (direct):
Li 0.0000 0.0000 0.0000
Li 0.0000 0.0000 0.5000
Li 0.3333 0.6667 0.3999
Li 0.6667 0.3333 0.8999
Nb 0.3333 0.6667 0.0004
Nb 0.6667 0.3333 0.5004
Co 0.1698 0.3396 0.7198
Co 0.1698 0.8302 0.7198
Co 0.3396 0.1698 0.2198
Co 0.6604 0.8302 0.7198
Co 0.8302 0.1698 0.2198
Co 0.8302 0.6604 0.2198
O 0.0000 0.0000 0.3117
O 0.0000 0.0000 0.8117
O 0.0379 0.5190 0.8380
O 0.1649 0.3299 0.1036
O 0.1649 0.8351 0.1036
O 0.3299 0.1649 0.6036
O 0.3333 0.6667 0.6162
O 0.4810 0.5190 0.8380
O 0.4810 0.9621 0.8380
O 0.5190 0.0379 0.3380
O 0.5190 0.4810 0.3380
O 0.6667 0.3333 0.1162
O 0.6701 0.8351 0.1036
O 0.8351 0.1649 0.6036
O 0.8351 0.6701 0.6036
O 0.9621 0.4810 0.3380

## Properties
- symmetry = No. 186

*B*
The following is a PBE+U calculation of crystalline Li2NbCo3O8 at its relaxed geometry, from the Materials Project database.

a = 6.0519 Å, b = 6.0519 Å, c = 6.0519 Å
α = 59.56°, β = 59.56°, γ = 59.56°
Positions (direct):
Li 0.1247 0.1247 0.1247
Li 0.8753 0.8753 0.8753
Nb 0.5000 0.5000 0.5000
Co 0.0000 0.5000 0.5000
Co 0.5000 0.0000 0.5000
Co 0.5000 0.5000 0.0000
O 0.2627 0.2627 0.7199
O 0.2627 0.7199 0.2627
O 0.2670 0.2670 0.2670
O 0.2801 0.7373 0.7373
O 0.7199 0.2627 0.2627
O 0.7330 0.7330 0.7330
O 0.7373 0.2801 0.7373
O 0.7373 0.7373 0.2801

## Properties
- symmetry = No. 166

Most stable structure: *A*